No. 1
Ba2B2O5 (PBE, optimized geometry); energy above the lowest structure with this stoichiometry = 0.000 eV/atom; V = 16.546 Å³ per atom
1.0
8.475 0.000 0.000
0.000 5.613 0.000
-0.185 0.000 12.521
Ba B O
8 8 20
Cartesian
0.918 0.271 4.581
0.825 2.536 10.842
3.181 3.271 1.953
3.088 5.149 8.213
5.201 0.464 4.308
5.109 2.342 10.568
7.464 3.077 1.679
7.372 5.343 7.940
1.367 0.241 1.017
1.274 2.565 7.277
2.780 3.175 5.101
2.687 5.245 11.362
5.602 0.368 1.159
5.510 2.439 7.420
7.015 3.048 5.244
6.922 5.372 11.505
0.775 3.340 8.295
0.867 5.080 2.034
1.141 1.208 7.163
1.234 1.599 0.902
2.042 3.346 6.319
2.134 5.074 0.058
2.874 0.843 10.758
2.967 1.964 4.497
3.111 4.066 10.791
3.204 4.354 4.530
5.086 1.260 7.991
5.178 1.547 1.730
5.322 3.650 8.024
5.415 4.770 1.763
6.155 0.539 12.463
6.248 2.267 6.202
7.056 4.015 11.619
7.148 4.405 5.358
7.422 0.533 10.487
7.515 2.273 4.226



No. 2
Hg (PBE, optimized geometry); energy above the lowest structure with this stoichiometry = 0.025 eV/atom; V = 32.299 Å³ per atom
1.0
2.157 1.245 2.005
-2.157 1.245 2.005
0.000 -2.490 2.005
Hg
1
Cartesian
0.000 0.000 0.000



No. 3
Na2PtO3 (PBE, optimized geometry); E_tot = -4.943 eV per atom; V = 11.607 Å³ per atom
1.0
2.874 -4.754 0.000
2.874 4.754 0.000
-1.980 0.000 5.098
Na Pt O
4 2 6
Cartesian
1.389 3.941 3.824
2.379 2.467 1.275
1.389 -2.467 3.824
2.379 -3.941 1.275
1.389 0.807 3.824
2.379 -0.807 1.275
0.447 2.377 2.549
-0.240 0.657 5.088
0.749 -0.657 2.539
1.437 -2.377 0.000
3.018 0.657 2.560
4.008 -0.657 0.011



No. 4
KSrN (PBE, optimized geometry); E_tot = -3.729 eV per atom; V = 32.254 Å³ per atom
1.0
3.532 -2.039 0.000
3.532 2.039 0.000
-2.375 0.000 6.718
K Sr N
1 1 1
Cartesian
0.000 0.000 0.000
2.335 0.000 4.110
-0.019 0.000 5.006